PBE NdB2C2, relaxed; symmetry = P4/mbm, No. 127; formation energy from the elements = -9.42 kcal/mol of atoms; total DFT energy (no corrections) = -7.725 eV per atom
1.0
5.396 0.000 0.000
0.000 5.396 0.000
0.000 0.000 3.824
Nd B C
2 4 4
Direct
0.000 0.000 0.000
0.500 0.500 0.000
0.138 0.362 0.500
0.362 0.862 0.500
0.638 0.138 0.500
0.862 0.638 0.500
0.161 0.661 0.500
0.339 0.161 0.500
0.661 0.839 0.500
0.839 0.339 0.500

***

PBE EuLu2Se4, relaxed; symmetry = Pnma, No. 62; MP2020-corrected energy = -6.94 eV per atom; formation energy from the elements = -50.38 kcal/mol of atoms; total DFT energy (no corrections) = -6.669 eV per atom
1.0
12.413 0.000 0.000
0.000 4.062 0.000
0.000 0.000 14.702
Eu Lu Se
4 8 16
Direct
0.240 0.250 0.166
0.260 0.750 0.666
0.740 0.250 0.334
0.760 0.750 0.834
0.061 0.250 0.389
0.083 0.250 0.903
0.417 0.750 0.403
0.439 0.750 0.889
0.561 0.250 0.111
0.583 0.250 0.597
0.917 0.750 0.097
0.939 0.750 0.611
0.028 0.750 0.784
0.093 0.250 0.577
0.130 0.750 0.031
0.205 0.750 0.330
0.295 0.250 0.830
0.370 0.250 0.531
0.407 0.750 0.077
0.472 0.250 0.284
0.528 0.750 0.716
0.593 0.250 0.923
0.630 0.750 0.469
0.705 0.750 0.170
0.795 0.250 0.670
0.870 0.250 0.969
0.907 0.750 0.423
0.972 0.250 0.216

***

PBE MgTi2P2O10, relaxed; symmetry = P2_1/c, No. 14; MP2020-corrected energy = -8.33 eV per atom; formation energy from the elements = -72.63 kcal/mol of atoms; total DFT energy (no corrections) = -7.871 eV per atom
1.0
7.433 0.000 0.000
0.000 7.470 0.000
-3.691 0.000 6.469
Mg Ti P O
2 4 4 20
Direct
0.000 0.000 0.000
0.000 0.500 0.500
0.267 0.221 0.794
0.267 0.279 0.294
0.733 0.721 0.706
0.733 0.779 0.206
0.245 0.620 0.994
0.245 0.880 0.494
0.755 0.120 0.506
0.755 0.380 0.006
0.059 0.750 0.414
0.059 0.750 0.914
0.214 0.004 0.314
0.214 0.496 0.814
0.231 0.158 0.000
0.231 0.342 0.500
0.261 0.507 0.175
0.261 0.993 0.675
0.443 0.733 0.072
0.443 0.767 0.572
0.557 0.233 0.428
0.557 0.267 0.928
0.739 0.007 0.325
0.739 0.493 0.825
0.769 0.658 0.500
0.769 0.842 0.000
0.786 0.504 0.186
0.786 0.996 0.686
0.941 0.250 0.086
0.941 0.250 0.586

***

PBE Ba3Ta5O15, relaxed; symmetry = P4/mbm, No. 127; MP2020-corrected energy = -9.49 eV per atom; formation energy from the elements = -79.21 kcal/mol of atoms; total DFT energy (no corrections) = -9.042 eV per atom
1.0
12.766 0.000 0.000
0.000 12.766 0.000
0.000 0.000 4.017
Ba Ta O
6 10 30
Direct
0.000 0.000 0.000
0.169 0.331 0.000
0.331 0.831 0.000
0.500 0.500 0.000
0.669 0.169 0.000
0.831 0.669 0.000
0.000 0.500 0.500
0.077 0.787 0.500
0.213 0.077 0.500
0.287 0.577 0.500
0.423 0.287 0.500
0.500 0.000 0.500
0.577 0.713 0.500
0.713 0.423 0.500
0.787 0.923 0.500
0.923 0.213 0.500
0.000 0.500 0.000
0.006 0.344 0.500
0.068 0.141 0.500
0.078 0.792 0.000
0.141 0.932 0.500
0.156 0.494 0.500
0.208 0.078 0.000
0.218 0.718 0.500
0.282 0.218 0.500
0.292 0.578 0.000
0.344 0.994 0.500
0.359 0.432 0.500
0.422 0.292 0.000
0.432 0.641 0.500
0.494 0.844 0.500
0.500 0.000 0.000
0.506 0.156 0.500
0.568 0.359 0.500
0.578 0.708 0.000
0.641 0.568 0.500
0.656 0.006 0.500
0.708 0.422 0.000
0.718 0.782 0.500
0.782 0.282 0.500
0.792 0.922 0.000
0.844 0.506 0.500
0.859 0.068 0.500
0.922 0.208 0.000
0.932 0.859 0.500
0.994 0.656 0.500

***

PBE Rb2TeBr6, relaxed; symmetry = I4/m, No. 87; MP2020-corrected energy = -3.07 eV per atom; formation energy from the elements = -32.62 kcal/mol of atoms; total DFT energy (no corrections) = -2.717 eV per atom
1.0
-3.914 3.914 5.613
3.914 -3.914 5.613
3.914 3.914 -5.613
Rb Te Br
2 1 6
Direct
0.250 0.750 0.500
0.750 0.250 0.500
0.000 0.000 0.000
0.225 0.267 0.493
0.244 0.244 0.000
0.267 0.775 0.042
0.733 0.225 0.958
0.756 0.756 0.000
0.775 0.733 0.507

***

PBE Ba10Cu5Hg5O21, relaxed; symmetry = P-1, No. 2; MP2020-corrected energy = -5.46 eV per atom; formation energy from the elements = -44.34 kcal/mol of atoms; total DFT energy (no corrections) = -5.110 eV per atom
1.0
8.667 0.000 0.000
-0.009 8.677 0.000
-3.462 -1.734 9.739
Ba Cu Hg O
10 5 5 21
Direct
0.019 0.259 0.296
0.184 0.341 0.704
0.218 0.861 0.297
0.388 0.945 0.722
0.419 0.459 0.296
0.581 0.541 0.704
0.612 0.055 0.278
0.782 0.139 0.703
0.816 0.659 0.296
0.981 0.741 0.704
0.000 0.000 0.500
0.202 0.603 0.502
0.402 0.196 0.500
0.598 0.804 0.500
0.798 0.397 0.498
0.000 0.500 0.000
0.211 0.096 0.000
0.403 0.711 0.000
0.597 0.289 0.000
0.789 0.904 0.000
0.000 0.500 0.500
0.082 0.542 0.206
0.098 0.798 0.499
0.111 0.060 0.791
0.195 0.103 0.499
0.279 0.144 0.209
0.299 0.401 0.500
0.314 0.654 0.791
0.403 0.696 0.499
0.481 0.737 0.210
0.500 0.000 0.000
0.500 0.000 0.500
0.519 0.263 0.790
0.597 0.304 0.501
0.686 0.346 0.209
0.701 0.599 0.500
0.721 0.856 0.791
0.805 0.897 0.501
0.889 0.940 0.209
0.902 0.202 0.501
0.918 0.458 0.794

***

PBE ZrP, relaxed; symmetry = Fm-3m, No. 225; formation energy from the elements = -30.70 kcal/mol of atoms; total DFT energy (no corrections) = -8.312 eV per atom
1.0
0.000 2.650 2.650
2.650 0.000 2.650
2.650 2.650 0.000
Zr P
1 1
Direct
0.000 0.000 0.000
0.500 0.500 0.500

***

PBE ZrPbF6, relaxed; symmetry = Cmme, No. 67; MP2020-corrected energy = -6.51 eV per atom; formation energy from the elements = -81.65 kcal/mol of atoms; total DFT energy (no corrections) = -6.163 eV per atom
1.0
3.842 -5.632 0.000
3.842 5.632 0.000
0.000 0.000 5.469
Zr Pb F
2 2 12
Direct
0.250 0.250 0.000
0.750 0.750 0.000
0.250 0.750 0.526
0.750 0.250 0.474
0.061 0.315 0.743
0.073 0.927 0.845
0.185 0.439 0.257
0.315 0.061 0.257
0.427 0.573 0.845
0.439 0.185 0.743
0.561 0.815 0.257
0.573 0.427 0.155
0.685 0.939 0.743
0.815 0.561 0.743
0.927 0.073 0.155
0.939 0.685 0.257